Entry from the Materials Project database: a geometry-optimized Co3W3C structure (GGA-PBE).

POSCAR file:
```
Co3W3C
1.0
0.000 5.548 5.548
5.548 0.000 5.548
5.548 5.548 0.000
Co W C
12 12 4
direct
0.000 0.000 0.000 Co
0.000 0.000 0.500 Co
0.000 0.500 0.000 Co
0.115 0.795 0.795 Co
0.205 0.205 0.205 Co
0.205 0.205 0.885 Co
0.205 0.885 0.205 Co
0.500 0.000 0.000 Co
0.795 0.115 0.795 Co
0.795 0.795 0.115 Co
0.795 0.795 0.795 Co
0.885 0.205 0.205 Co
0.172 0.172 0.578 W
0.172 0.578 0.172 W
0.172 0.578 0.578 W
0.422 0.422 0.828 W
0.422 0.828 0.422 W
0.422 0.828 0.828 W
0.578 0.172 0.172 W
0.578 0.172 0.578 W
0.578 0.578 0.172 W
0.828 0.422 0.422 W
0.828 0.422 0.828 W
0.828 0.828 0.422 W
0.000 0.500 0.500 C
0.500 0.000 0.500 C
0.500 0.500 0.000 C
0.500 0.500 0.500 C
```

Calculated values
The formation energy comes out at 0.006 eV/atom. The value obtained for the size of the total moment is 0.2 μB per formula unit. The crystal system is cubic. The total energy is -9.913 eV per atom. The calculated volume is 12.2 A^3/atom.